# 1
# Ta2NiSe7 PBE optimized geometry
# - energy (eV per atom) = -5.99
# - energy with MP2020 corrections (eV/atom) = -6.325
# - space group = C2/m, No. 12
# - ΔH_f (0 K) (meV/atom) = -928
# - magnetization (μB per formula unit) = 0.0
data_Ta2NiSe7
_space_group_name_H-M_alt 'P 1'
_space_group_IT_number 1
_space_group_name_Hall 'P 1'
_cell_length_a 7.549
_cell_length_b 7.549
_cell_length_c 18.650
_cell_angle_alpha 72.73
_cell_angle_beta 72.73
_cell_angle_gamma 26.92
loop_
_atom_site_label
_atom_site_type_symbol
_atom_site_fract_x
_atom_site_fract_y
_atom_site_fract_z
Ta1 Ta 0.847 0.847 0.400
Ta2 Ta 0.153 0.153 0.600
Ta3 Ta 0.772 0.772 0.091
Ta4 Ta 0.228 0.228 0.909
Ni1 Ni 0.310 0.310 0.209
Ni2 Ni 0.690 0.690 0.791
Se1 Se 0.641 0.641 0.012
Se2 Se 0.359 0.359 0.988
Se3 Se 0.429 0.429 0.296
Se4 Se 0.571 0.571 0.704
Se5 Se 0.912 0.912 0.140
Se6 Se 0.088 0.088 0.860
Se7 Se 0.161 0.161 0.173
Se8 Se 0.839 0.839 0.827
Se9 Se 0.472 0.472 0.420
Se10 Se 0.528 0.528 0.580
Se11 Se 0.205 0.205 0.444
Se12 Se 0.795 0.795 0.556
Se13 Se 0.745 0.745 0.299
Se14 Se 0.255 0.255 0.701


# 2
# LiAlSi2O6 PBE optimized geometry
# - energy (eV per atom) = -7.40
# - energy with MP2020 corrections (eV/atom) = -7.811
# - space group = P2_1/c, No. 14
# - ΔH_f (0 K) (meV/atom) = -3192
# - magnetization (μB per formula unit) = 0.0
data_LiAlSi2O6
_space_group_name_H-M_alt 'P 1'
_space_group_IT_number 1
_space_group_name_Hall 'P 1'
_cell_length_a 8.537
_cell_length_b 5.192
_cell_length_c 9.184
_cell_angle_alpha 77.37
_cell_angle_beta 90.00
_cell_angle_gamma 90.00
loop_
_atom_site_label
_atom_site_type_symbol
_atom_site_fract_x
_atom_site_fract_y
_atom_site_fract_z
Li1 Li 0.015 0.972 0.255
Li2 Li 0.515 0.528 0.745
Li3 Li 0.985 0.028 0.745
Li4 Li 0.485 0.472 0.255
Al1 Al 0.652 0.973 0.250
Al2 Al 0.152 0.527 0.750
Al3 Al 0.348 0.027 0.750
Al4 Al 0.848 0.473 0.250
Si1 Si 0.343 0.229 0.046
Si2 Si 0.843 0.271 0.954
Si3 Si 0.657 0.771 0.954
Si4 Si 0.157 0.729 0.046
Si5 Si 0.841 0.681 0.550
Si6 Si 0.341 0.819 0.450
Si7 Si 0.159 0.319 0.450
Si8 Si 0.659 0.181 0.550
O1 O 0.330 0.302 0.861
O2 O 0.830 0.198 0.139
O3 O 0.670 0.698 0.139
O4 O 0.170 0.802 0.861
O5 O 0.513 0.170 0.119
O6 O 0.013 0.330 0.881
O7 O 0.487 0.830 0.881
O8 O 0.987 0.670 0.119
O9 O 0.283 0.488 0.107
O10 O 0.783 0.012 0.893
O11 O 0.717 0.512 0.893
O12 O 0.217 0.988 0.107
O13 O 0.829 0.747 0.364
O14 O 0.329 0.753 0.636
O15 O 0.171 0.253 0.636
O16 O 0.671 0.247 0.364
O17 O 0.006 0.728 0.624
O18 O 0.506 0.772 0.376
O19 O 0.994 0.272 0.376
O20 O 0.494 0.228 0.624
O21 O 0.711 0.870 0.608
O22 O 0.211 0.630 0.392
O23 O 0.289 0.130 0.392
O24 O 0.789 0.370 0.608


# 3
# PmDyRh2 PBE optimized geometry
# - energy (eV per atom) = -6.79
# - space group = Fm-3m, No. 225
# - ΔH_f (0 K) (meV/atom) = -771
data_PmDyRh2
_space_group_name_H-M_alt 'P 1'
_space_group_IT_number 1
_space_group_name_Hall 'P 1'
_cell_length_a 4.940
_cell_length_b 4.940
_cell_length_c 4.940
_cell_angle_alpha 60.00
_cell_angle_beta 60.00
_cell_angle_gamma 60.00
loop_
_atom_site_label
_atom_site_type_symbol
_atom_site_fract_x
_atom_site_fract_y
_atom_site_fract_z
Pm1 Pm 0.500 0.500 0.500
Dy1 Dy 0.000 0.000 0.000
Rh1 Rh 0.750 0.750 0.750
Rh2 Rh 0.250 0.250 0.250


# 4
# Zn3As2O6 PBE optimized geometry
# - energy (eV per atom) = -5.28
# - energy with MP2020 corrections (eV/atom) = -5.656
# - space group = Pbam, No. 55
# - ΔH_f (0 K) (meV/atom) = -1766
data_Zn3As2O6
_space_group_name_H-M_alt 'P 1'
_space_group_IT_number 1
_space_group_name_Hall 'P 1'
_cell_length_a 6.267
_cell_length_b 7.966
_cell_length_c 14.589
_cell_angle_alpha 90.00
_cell_angle_beta 90.00
_cell_angle_gamma 90.00
loop_
_atom_site_label
_atom_site_type_symbol
_atom_site_fract_x
_atom_site_fract_y
_atom_site_fract_z
Zn1 Zn 0.000 0.314 0.500
Zn2 Zn 0.500 0.686 0.000
Zn3 Zn 0.000 0.686 0.500
Zn4 Zn 0.500 0.314 0.000
Zn5 Zn 0.436 0.784 0.222
Zn6 Zn 0.936 0.216 0.278
Zn7 Zn 0.564 0.784 0.778
Zn8 Zn 0.064 0.216 0.722
Zn9 Zn 0.936 0.784 0.278
Zn10 Zn 0.436 0.216 0.222
Zn11 Zn 0.064 0.784 0.722
Zn12 Zn 0.564 0.216 0.778
As1 As 0.092 0.500 0.126
As2 As 0.592 0.500 0.374
As3 As 0.908 0.500 0.874
As4 As 0.408 0.500 0.626
As5 As 0.774 0.000 0.098
As6 As 0.274 0.000 0.402
As7 As 0.226 0.000 0.902
As8 As 0.726 0.000 0.598
O1 O 0.411 0.175 0.896
O2 O 0.911 0.825 0.604
O3 O 0.589 0.175 0.104
O4 O 0.089 0.825 0.396
O5 O 0.589 0.825 0.104
O6 O 0.089 0.175 0.396
O7 O 0.411 0.825 0.896
O8 O 0.911 0.175 0.604
O9 O 0.344 0.324 0.700
O10 O 0.844 0.676 0.800
O11 O 0.656 0.324 0.300
O12 O 0.156 0.676 0.200
O13 O 0.656 0.676 0.300
O14 O 0.156 0.324 0.200
O15 O 0.344 0.676 0.700
O16 O 0.844 0.324 0.800
O17 O 0.839 0.000 0.219
O18 O 0.339 0.000 0.281
O19 O 0.161 0.000 0.781
O20 O 0.661 0.000 0.719
O21 O 0.667 0.500 0.941
O22 O 0.167 0.500 0.559
O23 O 0.333 0.500 0.059
O24 O 0.833 0.500 0.441


# 5
# BaCa3 PBE optimized geometry
# - energy (eV per atom) = -1.95
# - space group = P6_3/mmc, No. 194
# - ΔH_f (0 K) (meV/atom) = 37
data_BaCa3
_space_group_name_H-M_alt 'P 1'
_space_group_IT_number 1
_space_group_name_Hall 'P 1'
_cell_length_a 8.089
_cell_length_b 8.089
_cell_length_c 6.646
_cell_angle_alpha 90.00
_cell_angle_beta 90.00
_cell_angle_gamma 120.00
loop_
_atom_site_label
_atom_site_type_symbol
_atom_site_fract_x
_atom_site_fract_y
_atom_site_fract_z
Ba1 Ba 0.333 0.667 0.750
Ba2 Ba 0.667 0.333 0.250
Ca1 Ca 0.164 0.328 0.250
Ca2 Ca 0.672 0.836 0.250
Ca3 Ca 0.164 0.836 0.250
Ca4 Ca 0.836 0.672 0.750
Ca5 Ca 0.328 0.164 0.750
Ca6 Ca 0.836 0.164 0.750


# 6
# Al2O3 PBE optimized geometry
# - energy (eV per atom) = -7.27
# - energy with MP2020 corrections (eV/atom) = -7.685
# - space group = P1, No. 1
# - ΔH_f (0 K) (meV/atom) = -3218
# - magnetization (μB per formula unit) = 0.0
data_Al2O3
_space_group_name_H-M_alt 'P 1'
_space_group_IT_number 1
_space_group_name_Hall 'P 1'
_cell_length_a 10.146
_cell_length_b 10.035
_cell_length_c 10.300
_cell_angle_alpha 89.35
_cell_angle_beta 92.22
_cell_angle_gamma 89.80
loop_
_atom_site_label
_atom_site_type_symbol
_atom_site_fract_x
_atom_site_fract_y
_atom_site_fract_z
Al1 Al 0.489 0.528 0.222
Al2 Al 0.379 0.067 0.428
Al3 Al 0.535 0.658 0.770
Al4 Al 0.733 0.870 0.835
Al5 Al 0.429 0.916 0.707
Al6 Al 0.848 0.610 0.751
Al7 Al 0.357 0.343 0.477
Al8 Al 0.123 0.937 0.992
Al9 Al 0.353 0.752 0.939
Al10 Al 0.862 0.387 0.550
Al11 Al 0.880 0.661 0.402
Al12 Al 0.845 0.218 0.265
Al13 Al 0.900 0.902 0.213
Al14 Al 0.403 0.773 0.451
Al15 Al 0.120 0.864 0.483
Al16 Al 0.160 0.207 0.934
Al17 Al 0.912 0.389 0.965
Al18 Al 0.666 0.205 0.507
Al19 Al 0.638 0.987 0.319
Al20 Al 0.521 0.260 0.219
Al21 Al 0.183 0.184 0.246
Al22 Al 0.839 0.098 0.983
Al23 Al 0.632 0.800 0.084
Al24 Al 0.353 0.992 0.159
Al25 Al 0.142 0.571 0.528
Al26 Al 0.075 0.173 0.490
Al27 Al 0.740 0.903 0.590
Al28 Al 0.456 0.383 0.961
Al29 Al 0.624 0.645 0.455
Al30 Al 0.743 0.515 0.202
Al31 Al 0.206 0.512 0.059
Al32 Al 0.677 0.352 0.809
Al33 Al 0.132 0.686 0.777
Al34 Al 0.028 0.493 0.224
Al35 Al 0.143 0.343 0.721
Al36 Al 0.933 0.689 0.024
Al37 Al 0.369 0.205 0.770
Al38 Al 0.172 0.787 0.231
Al39 Al 0.537 0.089 0.953
Al40 Al 0.040 0.999 0.744
O1 O 0.985 0.826 0.357
O2 O 0.513 0.962 0.092
O3 O 0.604 0.924 0.695
O4 O 0.540 0.487 0.837
O5 O 0.297 0.316 0.895
O6 O 0.167 0.143 0.768
O7 O 0.307 0.309 0.645
O8 O 0.805 0.476 0.850
O9 O 0.879 0.073 0.152
O10 O 0.278 0.843 0.075
O11 O 0.406 0.036 0.831
O12 O 0.017 0.180 0.326
O13 O 0.863 0.931 0.718
O14 O 0.722 0.314 0.642
O15 O 0.480 0.926 0.362
O16 O 0.620 0.639 0.152
O17 O 0.753 0.768 0.480
O18 O 0.876 0.378 0.177
O19 O 0.969 0.690 0.847
O20 O 0.379 0.142 0.254
O21 O 0.885 0.634 0.199
O22 O 0.145 0.873 0.831
O23 O 0.228 0.629 0.923
O24 O 0.789 0.260 0.943
O25 O 0.342 0.936 0.554
O26 O 0.104 0.736 0.601
O27 O 0.512 0.680 0.582
O28 O 0.166 0.614 0.195
O29 O 0.133 0.519 0.699
O30 O 0.371 0.757 0.762
O31 O 0.660 0.155 0.265
O32 O 0.383 0.494 0.080
O33 O 0.457 0.381 0.333
O34 O 0.044 0.326 0.878
O35 O 0.529 0.756 0.939
O36 O 0.235 0.759 0.398
O37 O 0.614 0.403 0.160
O38 O 0.277 0.495 0.469
O39 O 0.206 0.090 0.059
O40 O 0.482 0.659 0.344
O41 O 0.027 0.836 0.104
O42 O 0.153 0.350 0.164
O43 O 0.789 0.794 0.994
O44 O 0.540 0.238 0.824
O45 O 0.013 0.535 0.400
O46 O 0.208 0.973 0.277
O47 O 0.801 0.283 0.422
O48 O 0.490 0.190 0.505
O49 O 0.013 0.522 0.033
O50 O 0.064 0.011 0.563
O51 O 0.017 0.299 0.592
O52 O 0.706 0.709 0.757
O53 O 0.737 0.541 0.378
O54 O 0.729 0.874 0.229
O55 O 0.485 0.225 0.050
O56 O 0.992 0.048 0.917
O57 O 0.869 0.556 0.594
O58 O 0.717 0.034 0.477
O59 O 0.240 0.196 0.430
O60 O 0.695 0.018 0.925